Computed, not measured: a geometry-optimized TmPb3 structure at the PBE-GGA level of DFT.

The structure in POSCAR format:
```
TmPb3
1.0
-1.579 -3.769 -2.666
-1.565 -2.213 4.057
-4.343 2.168 -0.493
Tm Pb
1 3
Direct
0.000 0.000 0.000
0.500 0.000 0.500
0.500 0.500 0.000
0.000 0.500 0.500
```

Crystal system: cubic
E_tot, eV per atom: -4.119
Calculated formation energy, meV per atom: -216

***

Computed, not measured: a geometry-optimized SiO2 structure at the PBE-GGA level of DFT.

The structure in POSCAR format:
```
SiO2
1.0
4.272 -5.210 0.000
4.272 5.210 0.000
0.000 0.000 8.892
Si O
8 16
Direct
0.918 0.715 0.091
0.180 0.453 0.919
0.820 0.547 0.419
0.082 0.285 0.591
0.715 0.918 0.591
0.285 0.082 0.091
0.547 0.820 0.919
0.453 0.180 0.419
0.307 0.274 0.532
0.004 0.466 0.502
0.329 0.089 0.270
0.357 0.643 0.870
0.911 0.671 0.270
0.671 0.911 0.770
0.643 0.357 0.370
0.466 0.004 0.002
0.089 0.329 0.770
0.534 0.996 0.502
0.996 0.534 0.002
0.931 0.069 0.559
0.693 0.726 0.032
0.069 0.931 0.059
0.274 0.307 0.032
0.726 0.693 0.532
```

Crystal system: orthorhombic
E_tot, eV per atom: -7.911
Calculated formation energy, meV per atom: -3262

***

> What is the formula in the first record?

TmPb3